No. 1
VASP calculation (GGA-PBE) on KLaYNbO6 after structural relaxation.

Results
- calculated volume (Å³/f.u.) = 149.3
- total energy (eV for the cell shown) = -80.51
- spin magnetization (μB per formula unit) = 0.000

```
data_KLaYNbO6
_chemical_formula_sum 'K1 La1 Y1 Nb1 O6'
_cell_length_a 5.954
_cell_length_b 5.954
_cell_length_c 5.954
_cell_angle_alpha 60.00
_cell_angle_beta 60.00
_cell_angle_gamma 60.00
_space_group_name_H-M_alt 'P 1'
_space_group_IT_number 1
loop_
_space_group_symop_operation_xyz
'x,y,z'
loop_
_atom_site_label
_atom_site_fract_x
_atom_site_fract_y
_atom_site_fract_z
_atom_site_occupancy
K1 0.250 0.250 0.250 1
La1 0.750 0.750 0.750 1
Y1 0.500 0.500 0.500 1
Nb1 0.000 0.000 0.000 1
O1 0.762 0.238 0.238 1
O2 0.238 0.762 0.762 1
O3 0.762 0.238 0.762 1
O4 0.238 0.762 0.238 1
O5 0.762 0.762 0.238 1
O6 0.238 0.238 0.762 1
```


No. 2
VASP calculation (GGA-PBE) on Zn2As2O7 after structural relaxation.

Results
- calculated volume (Å³/f.u.) = 141.8
- total energy (eV for the cell shown) = -364.50
- spin magnetization (μB per formula unit) = 0.001
- excess energy over the best structure of this formula in the dataset (meV/atom) = 13

```
data_Zn2As2O7
_chemical_formula_sum 'Zn12 As12 O42'
_cell_length_a 11.159
_cell_length_b 11.159
_cell_length_c 9.759
_cell_angle_alpha 81.08
_cell_angle_beta 81.08
_cell_angle_gamma 45.24
_space_group_name_H-M_alt 'P 1'
_space_group_IT_number 1
loop_
_space_group_symop_operation_xyz
'x,y,z'
loop_
_atom_site_label
_atom_site_fract_x
_atom_site_fract_y
_atom_site_fract_z
_atom_site_occupancy
Zn1 0.830 0.202 0.962 1
Zn2 0.847 0.480 0.837 1
Zn3 0.497 0.873 0.792 1
Zn4 0.127 0.503 0.708 1
Zn5 0.520 0.153 0.663 1
Zn6 0.798 0.170 0.538 1
Zn7 0.202 0.830 0.462 1
Zn8 0.480 0.847 0.337 1
Zn9 0.873 0.497 0.292 1
Zn10 0.503 0.127 0.208 1
Zn11 0.153 0.520 0.163 1
Zn12 0.170 0.798 0.038 1
As1 0.896 0.904 0.815 1
As2 0.260 0.223 0.960 1
As3 0.414 0.450 0.866 1
As4 0.550 0.586 0.634 1
As5 0.777 0.740 0.540 1
As6 0.096 0.104 0.685 1
As7 0.904 0.896 0.315 1
As8 0.223 0.260 0.460 1
As9 0.450 0.414 0.366 1
As10 0.586 0.550 0.134 1
As11 0.740 0.777 0.040 1
As12 0.104 0.096 0.185 1
O1 0.975 0.958 0.900 1
O2 0.767 0.908 0.952 1
O3 0.696 0.715 0.923 1
O4 0.248 0.581 0.984 1
O5 0.601 0.296 0.938 1
O6 0.932 0.253 0.796 1
O7 0.276 0.957 0.766 1
O8 0.081 0.393 0.876 1
O9 0.625 0.634 0.732 1
O10 0.428 0.085 0.847 1
O11 0.399 0.601 0.750 1
O12 0.915 0.572 0.653 1
O13 0.366 0.375 0.768 1
O14 0.607 0.919 0.624 1
O15 0.043 0.724 0.734 1
O16 0.747 0.068 0.704 1
O17 0.704 0.399 0.562 1
O18 0.958 0.975 0.400 1
O19 0.908 0.767 0.452 1
O20 0.419 0.752 0.516 1
O21 0.715 0.696 0.423 1
O22 0.285 0.304 0.577 1
O23 0.581 0.248 0.484 1
O24 0.092 0.233 0.548 1
O25 0.042 0.025 0.600 1
O26 0.296 0.601 0.438 1
O27 0.253 0.932 0.296 1
O28 0.957 0.276 0.266 1
O29 0.393 0.081 0.376 1
O30 0.634 0.625 0.232 1
O31 0.085 0.428 0.347 1
O32 0.601 0.399 0.250 1
O33 0.572 0.915 0.153 1
O34 0.375 0.366 0.268 1
O35 0.919 0.607 0.124 1
O36 0.724 0.043 0.234 1
O37 0.068 0.747 0.204 1
O38 0.399 0.704 0.062 1
O39 0.752 0.419 0.016 1
O40 0.304 0.285 0.077 1
O41 0.233 0.092 0.048 1
O42 0.025 0.042 0.100 1
```


No. 3
VASP calculation (GGA-PBE) on BaNa2Sr6Al6O2F32 after structural relaxation.

Results
- calculated volume (Å³/f.u.) = 660.0
- total energy (eV for the cell shown) = -278.98
- spin magnetization (μB per formula unit) = 2.000

```
data_BaNa2Sr6Al6O2F32
_chemical_formula_sum 'Ba1 Na2 Sr6 Al6 O2 F32'
_cell_length_a 9.930
_cell_length_b 9.930
_cell_length_c 7.348
_cell_angle_alpha 80.51
_cell_angle_beta 80.51
_cell_angle_gamma 68.38
_space_group_name_H-M_alt 'P 1'
_space_group_IT_number 1
loop_
_space_group_symop_operation_xyz
'x,y,z'
loop_
_atom_site_label
_atom_site_fract_x
_atom_site_fract_y
_atom_site_fract_z
_atom_site_occupancy
Ba1 0.738 0.738 0.132 1
Na1 0.500 0.500 0.501 1
Na2 0.500 0.500 0.998 1
Sr1 0.152 0.552 0.304 1
Sr2 0.552 0.152 0.304 1
Sr3 0.851 0.446 0.695 1
Sr4 0.446 0.851 0.695 1
Sr5 0.000 0.000 0.998 1
Sr6 0.260 0.260 0.886 1
Al1 0.165 0.165 0.458 1
Al2 0.836 0.836 0.544 1
Al3 0.867 0.349 0.203 1
Al4 0.349 0.867 0.203 1
Al5 0.137 0.646 0.796 1
Al6 0.646 0.137 0.796 1
O1 0.415 0.415 0.282 1
O2 0.586 0.586 0.716 1
F1 0.998 0.259 0.007 1
F2 0.259 0.998 0.007 1
F3 0.011 0.739 0.992 1
F4 0.739 0.011 0.992 1
F5 0.097 0.097 0.683 1
F6 0.903 0.903 0.317 1
F7 0.987 0.220 0.373 1
F8 0.220 0.987 0.373 1
F9 0.014 0.779 0.629 1
F10 0.779 0.014 0.629 1
F11 0.744 0.447 0.390 1
F12 0.447 0.744 0.390 1
F13 0.257 0.552 0.607 1
F14 0.552 0.257 0.607 1
F15 0.240 0.240 0.238 1
F16 0.759 0.759 0.758 1
F17 0.750 0.478 0.032 1
F18 0.478 0.750 0.032 1
F19 0.253 0.512 0.965 1
F20 0.512 0.253 0.965 1
F21 0.966 0.472 0.191 1
F22 0.472 0.966 0.191 1
F23 0.039 0.522 0.811 1
F24 0.522 0.039 0.811 1
F25 0.773 0.230 0.788 1
F26 0.230 0.773 0.788 1
F27 0.222 0.776 0.210 1
F28 0.776 0.222 0.210 1
F29 0.113 0.342 0.546 1
F30 0.342 0.113 0.546 1
F31 0.890 0.657 0.456 1
F32 0.657 0.890 0.456 1
```


No. 4
VASP calculation (GGA-PBE) on LiMg14CO16 after structural relaxation.

Results
- calculated volume (Å³/f.u.) = 302.1
- total energy (eV for the cell shown) = -187.02
- spin magnetization (μB per formula unit) = 0.334
- excess energy over the best structure of this formula in the dataset (meV/atom) = 0

```
data_LiMg14CO16
_chemical_formula_sum 'Li1 Mg14 C1 O16'
_cell_length_a 8.488
_cell_length_b 8.416
_cell_length_c 4.229
_cell_angle_alpha 90.00
_cell_angle_beta 90.00
_cell_angle_gamma 90.00
_space_group_name_H-M_alt 'P 1'
_space_group_IT_number 1
loop_
_space_group_symop_operation_xyz
'x,y,z'
loop_
_atom_site_label
_atom_site_fract_x
_atom_site_fract_y
_atom_site_fract_z
_atom_site_occupancy
Li1 0.000 0.000 0.000 1
Mg1 0.500 0.000 0.000 1
Mg2 0.500 0.500 0.000 1
Mg3 0.000 0.248 0.500 1
Mg4 0.000 0.752 0.500 1
Mg5 0.500 0.249 0.500 1
Mg6 0.500 0.751 0.500 1
Mg7 0.244 0.000 0.500 1
Mg8 0.244 0.500 0.500 1
Mg9 0.756 0.000 0.500 1
Mg10 0.756 0.500 0.500 1
Mg11 0.248 0.248 0.000 1
Mg12 0.248 0.752 0.000 1
Mg13 0.752 0.248 0.000 1
Mg14 0.752 0.752 0.000 1
C1 0.000 0.500 0.000 1
O1 0.252 0.000 0.000 1
O2 0.239 0.500 0.000 1
O3 0.748 0.000 0.000 1
O4 0.761 0.500 0.000 1
O5 0.248 0.251 0.500 1
O6 0.248 0.749 0.500 1
O7 0.752 0.251 0.500 1
O8 0.752 0.749 0.500 1
O9 0.000 0.000 0.500 1
O10 0.000 0.500 0.500 1
O11 0.500 0.000 0.500 1
O12 0.500 0.500 0.500 1
O13 0.000 0.285 0.000 1
O14 0.000 0.715 0.000 1
O15 0.500 0.255 0.000 1
O16 0.500 0.745 0.000 1
```


No. 5
VASP calculation (GGA-PBE) on Na2Ti4Al4Si3S9O48 after structural relaxation.

Results
- calculated volume (Å³/f.u.) = 925.3
- total energy (eV for the cell shown) = -1455.27
- spin magnetization (μB per formula unit) = 0.000

```
data_Na2Ti4Al4Si3S9O48
_chemical_formula_sum 'Na6 Ti12 Al12 Si9 S27 O144'
_cell_length_a 17.038
_cell_length_b 8.519
_cell_length_c 22.091
_cell_angle_alpha 89.87
_cell_angle_beta 90.19
_cell_angle_gamma 120.04
_space_group_name_H-M_alt 'P 1'
_space_group_IT_number 1
loop_
_space_group_symop_operation_xyz
'x,y,z'
loop_
_atom_site_label
_atom_site_fract_x
_atom_site_fract_y
_atom_site_fract_z
_atom_site_occupancy
Na1 0.995 0.006 0.501 1
Na2 0.496 0.987 0.003 1
Na3 0.329 0.325 0.839 1
Na4 0.828 0.330 0.832 1
Na5 0.331 0.326 0.331 1
Na6 0.823 0.324 0.336 1
Ti1 0.515 0.017 0.358 1
Ti2 0.005 0.998 0.862 1
Ti3 0.508 0.026 0.644 1
Ti4 0.008 0.989 0.144 1
Ti5 0.340 0.340 0.687 1
Ti6 0.834 0.336 0.688 1
Ti7 0.336 0.336 0.189 1
Ti8 0.837 0.334 0.192 1
Ti9 0.162 0.679 0.026 1
Ti10 0.660 0.663 0.027 1
Ti11 0.161 0.660 0.525 1
Ti12 0.663 0.649 0.523 1
Al1 0.003 0.003 0.351 1
Al2 0.503 0.004 0.852 1
Al3 0.998 0.007 0.647 1
Al4 0.500 0.980 0.148 1
Al5 0.332 0.335 0.980 1
Al6 0.832 0.336 0.981 1
Al7 0.332 0.325 0.478 1
Al8 0.834 0.327 0.477 1
Al9 0.168 0.675 0.310 1
Al10 0.669 0.662 0.310 1
Al11 0.170 0.679 0.814 1
Al12 0.666 0.660 0.810 1
Si1 0.145 0.998 0.256 1
Si2 0.643 0.985 0.249 1
Si3 0.646 0.294 0.755 1
Si4 0.474 0.332 0.578 1
Si5 0.969 0.316 0.581 1
Si6 0.467 0.622 0.080 1
Si7 0.970 0.610 0.081 1
Si8 0.178 0.964 0.916 1
Si9 0.677 0.391 0.414 1
S1 0.355 0.717 0.252 1
S2 0.856 0.719 0.252 1
S3 0.004 0.289 0.254 1
S4 0.503 0.285 0.249 1
S5 0.142 0.294 0.751 1
S6 0.005 0.722 0.750 1
S7 0.501 0.716 0.754 1
S8 0.353 0.990 0.752 1
S9 0.856 0.994 0.752 1
S10 0.188 0.050 0.583 1
S11 0.692 0.050 0.581 1
S12 0.334 0.616 0.581 1
S13 0.839 0.628 0.583 1
S14 0.339 0.052 0.084 1
S15 0.834 0.053 0.081 1
S16 0.192 0.335 0.081 1
S17 0.688 0.327 0.081 1
S18 0.314 0.673 0.913 1
S19 0.806 0.657 0.916 1
S20 0.020 0.384 0.915 1
S21 0.524 0.377 0.915 1
S22 0.667 0.955 0.916 1
S23 0.307 0.954 0.416 1
S24 0.816 0.958 0.414 1
S25 0.167 0.379 0.416 1
S26 0.023 0.668 0.415 1
S27 0.518 0.655 0.416 1
O1 0.100 0.043 0.311 1
O2 0.602 0.036 0.310 1
O3 0.412 0.798 0.305 1
O4 0.913 0.802 0.307 1
O5 0.484 0.169 0.303 1
O6 0.982 0.168 0.308 1
O7 0.101 0.178 0.806 1
O8 0.598 0.155 0.811 1
O9 0.479 0.792 0.807 1
O10 0.990 0.805 0.804 1
O11 0.410 0.025 0.806 1
O12 0.914 0.026 0.805 1
O13 0.395 0.966 0.697 1
O14 0.896 0.962 0.697 1
O15 0.086 0.208 0.697 1
O16 0.584 0.196 0.693 1
O17 0.017 0.833 0.695 1
O18 0.512 0.816 0.698 1
O19 0.392 0.826 0.196 1
O20 0.898 0.829 0.197 1
O21 0.015 0.210 0.198 1
O22 0.510 0.196 0.194 1
O23 0.084 0.972 0.193 1
O24 0.581 0.964 0.191 1
O25 0.428 0.362 0.642 1
O26 0.929 0.362 0.642 1
O27 0.245 0.134 0.638 1
O28 0.746 0.133 0.637 1
O29 0.315 0.499 0.637 1
O30 0.818 0.512 0.638 1
O31 0.427 0.497 0.141 1
O32 0.925 0.490 0.141 1
O33 0.317 0.125 0.138 1
O34 0.813 0.125 0.136 1
O35 0.246 0.361 0.136 1
O36 0.744 0.357 0.136 1
O37 0.230 0.293 0.027 1
O38 0.726 0.289 0.026 1
O39 0.411 0.525 0.021 1
O40 0.911 0.523 0.021 1
O41 0.351 0.159 0.029 1
O42 0.844 0.160 0.026 1
O43 0.225 0.164 0.528 1
O44 0.730 0.168 0.528 1
O45 0.344 0.527 0.527 1
O46 0.853 0.545 0.529 1
O47 0.409 0.298 0.523 1
O48 0.910 0.294 0.523 1
O49 0.276 0.703 0.967 1
O50 0.769 0.688 0.971 1
O51 0.075 0.459 0.969 1
O52 0.580 0.457 0.970 1
O53 0.155 0.836 0.976 1
O54 0.656 0.845 0.970 1
O55 0.265 0.848 0.472 1
O56 0.778 0.853 0.470 1
O57 0.156 0.465 0.471 1
O58 0.658 0.480 0.476 1
O59 0.079 0.701 0.471 1
O60 0.574 0.689 0.472 1
O61 0.067 0.639 0.362 1
O62 0.559 0.624 0.363 1
O63 0.248 0.864 0.363 1
O64 0.760 0.875 0.361 1
O65 0.182 0.491 0.362 1
O66 0.688 0.512 0.356 1
O67 0.063 0.496 0.861 1
O68 0.567 0.494 0.862 1
O69 0.189 0.870 0.856 1
O70 0.682 0.873 0.861 1
O71 0.256 0.640 0.858 1
O72 0.751 0.636 0.862 1
O73 0.013 0.831 0.409 1
O74 0.505 0.814 0.410 1
O75 0.397 0.977 0.409 1
O76 0.909 0.978 0.407 1
O77 0.084 0.199 0.412 1
O78 0.582 0.194 0.410 1
O79 0.009 0.199 0.906 1
O80 0.513 0.193 0.909 1
O81 0.085 0.982 0.906 1
O82 0.583 0.967 0.911 1
O83 0.406 0.839 0.904 1
O84 0.899 0.816 0.907 1
O85 0.482 0.153 0.591 1
O86 0.986 0.149 0.593 1
O87 0.096 0.022 0.593 1
O88 0.599 0.018 0.590 1
O89 0.416 0.789 0.591 1
O90 0.923 0.803 0.594 1
O91 0.480 0.821 0.088 1
O92 0.982 0.811 0.091 1
O93 0.422 0.044 0.093 1
O94 0.916 0.042 0.090 1
O95 0.099 0.181 0.089 1
O96 0.595 0.175 0.088 1
O97 0.340 0.152 0.746 1
O98 0.848 0.160 0.745 1
O99 0.234 0.315 0.745 1
O100 0.745 0.312 0.743 1
O101 0.418 0.526 0.748 1
O102 0.922 0.541 0.745 1
O103 0.347 0.534 0.245 1
O104 0.848 0.536 0.247 1
O105 0.421 0.307 0.245 1
O106 0.923 0.314 0.249 1
O107 0.244 0.179 0.242 1
O108 0.744 0.171 0.241 1
O109 0.325 0.511 0.918 1
O110 0.813 0.489 0.920 1
O111 0.434 0.360 0.922 1
O112 0.928 0.359 0.920 1
O113 0.261 0.164 0.926 1
O114 0.748 0.140 0.923 1
O115 0.311 0.135 0.421 1
O116 0.827 0.143 0.420 1
O117 0.248 0.357 0.424 1
O118 0.762 0.362 0.425 1
O119 0.425 0.492 0.423 1
O120 0.933 0.505 0.422 1
O121 0.188 0.502 0.071 1
O122 0.685 0.498 0.072 1
O123 0.072 0.632 0.076 1
O124 0.570 0.642 0.070 1
O125 0.261 0.864 0.076 1
O126 0.754 0.867 0.072 1
O127 0.184 0.874 0.575 1
O128 0.688 0.876 0.573 1
O129 0.254 0.638 0.574 1
O130 0.762 0.661 0.576 1
O131 0.071 0.502 0.569 1
O132 0.573 0.512 0.576 1
O133 0.153 0.821 0.262 1
O134 0.653 0.816 0.266 1
O135 0.263 0.687 0.261 1
O136 0.767 0.698 0.257 1
O137 0.085 0.464 0.265 1
O138 0.584 0.462 0.256 1
O139 0.150 0.472 0.761 1
O140 0.654 0.487 0.762 1
O141 0.085 0.700 0.757 1
O142 0.582 0.700 0.765 1
O143 0.264 0.825 0.758 1
O144 0.765 0.838 0.761 1
```


No. 6
VASP calculation (GGA-PBE) on Gd3Cu3Sb4 after structural relaxation.

Results
- calculated volume (Å³/f.u.) = 226.0
- total energy (eV for the cell shown) = -157.10
- spin magnetization (μB per formula unit) = 21.000

```
data_Gd3Cu3Sb4
_chemical_formula_sum 'Gd6 Cu6 Sb8'
_cell_length_a 8.373
_cell_length_b 8.373
_cell_length_c 8.373
_cell_angle_alpha 109.47
_cell_angle_beta 109.47
_cell_angle_gamma 109.47
_space_group_name_H-M_alt 'P 1'
_space_group_IT_number 1
loop_
_space_group_symop_operation_xyz
'x,y,z'
loop_
_atom_site_label
_atom_site_fract_x
_atom_site_fract_y
_atom_site_fract_z
_atom_site_occupancy
Gd1 0.875 0.250 0.125 1
Gd2 0.625 0.750 0.375 1
Gd3 0.250 0.125 0.875 1
Gd4 0.750 0.375 0.625 1
Gd5 0.125 0.875 0.250 1
Gd6 0.375 0.625 0.750 1
Cu1 0.375 0.250 0.625 1
Cu2 0.125 0.750 0.875 1
Cu3 0.250 0.625 0.375 1
Cu4 0.750 0.875 0.125 1
Cu5 0.625 0.375 0.250 1
Cu6 0.875 0.125 0.750 1
Sb1 0.659 0.500 0.000 1
Sb2 0.500 0.000 0.659 1
Sb3 0.000 0.659 0.500 1
Sb4 0.841 0.841 0.841 1
Sb5 0.500 0.000 0.159 1
Sb6 0.159 0.500 0.000 1
Sb7 0.000 0.159 0.500 1
Sb8 0.341 0.341 0.341 1
```


No. 7
VASP calculation (GGA-PBE) on SmErNi2 after structural relaxation.

Results
- calculated volume (Å³/f.u.) = 82.2
- total energy (eV for the cell shown) = -22.52

```
data_SmErNi2
_chemical_formula_sum 'Sm1 Er1 Ni2'
_cell_length_a 5.485
_cell_length_b 5.485
_cell_length_c 4.254
_cell_angle_alpha 90.00
_cell_angle_beta 90.00
_cell_angle_gamma 140.07
_space_group_name_H-M_alt 'P 1'
_space_group_IT_number 1
loop_
_space_group_symop_operation_xyz
'x,y,z'
loop_
_atom_site_label
_atom_site_fract_x
_atom_site_fract_y
_atom_site_fract_z
_atom_site_occupancy
Sm1 0.859 0.141 0.500 1
Er1 0.137 0.863 0.000 1
Ni1 0.429 0.571 0.000 1
Ni2 0.575 0.425 0.500 1
```